Crystalline HgMo6S8 at its relaxed geometry. Source: the Materials Project database, functional PBE.

Structure (extended XYZ):
```
15
Lattice="4.538 -4.777 0.000 4.538 4.777 0.000 -0.489 0.000 6.571" Properties=species:S:1:pos:R:3 pbc="T T T"
Hg 0.000 0.000 0.000
Mo 2.575 -0.899 3.638
Mo 3.310 1.596 2.678
Mo 4.255 -0.698 1.442
Mo 6.013 0.899 2.933
Mo 5.278 -1.596 3.892
Mo 4.332 0.698 5.129
S 1.949 0.000 1.491
S 6.639 0.000 5.080
S 4.944 1.626 0.869
S 3.690 -2.817 2.508
S 1.979 1.191 4.744
S 3.644 -1.626 5.702
S 4.898 2.817 4.063
S 6.609 -1.191 1.827
```

Summary:
Size of the total moment ... 0.00 Bohr magnetons per cell
V ... 19.0 Å³ per atom
Formation enthalpy at 0 K ... -887.0 meV per atom
Total DFT energy (no corrections) ... -107.7 eV per cell
Energy with MP2020 corrections ... -0.2738 hartree per atom
Space group ... R-3